Record 1
Entry from the Materials Project database: a relaxed Co crystal (PBE-GGA).

Unit cell a=8.367 b=8.367 c=4.555 alpha=90.00 beta=90.00 gamma=90.00
Fractional positions:
Co  0.027  0.362  0.000
Co  0.056  0.248  0.500
Co  0.094  0.094  0.000
Co  0.138  0.527  0.500
Co  0.186  0.814  0.250
Co  0.186  0.814  0.750
Co  0.248  0.056  0.500
Co  0.252  0.556  0.000
Co  0.314  0.314  0.250
Co  0.314  0.314  0.750
Co  0.362  0.027  0.000
Co  0.406  0.594  0.500
Co  0.444  0.748  0.000
Co  0.473  0.862  0.500
Co  0.527  0.138  0.500
Co  0.556  0.252  0.000
Co  0.594  0.406  0.500
Co  0.638  0.973  0.000
Co  0.686  0.686  0.250
Co  0.686  0.686  0.750
Co  0.748  0.444  0.000
Co  0.752  0.944  0.500
Co  0.814  0.186  0.250
Co  0.814  0.186  0.750
Co  0.862  0.473  0.500
Co  0.906  0.906  0.000
Co  0.944  0.752  0.500
Co  0.973  0.638  0.000

Values from the calculation:
relative energy among the computed polymorphs = 2.91 kcal/mol of atoms
E_tot = -6.982 eV per atom

=====

Record 2
Entry from the Materials Project database: a relaxed Co crystal (PBE-GGA).

Unit cell a=4.616 b=4.616 c=4.616 alpha=60.00 beta=60.00 gamma=60.00
Fractional positions:
Co  0.000  0.000  0.000
Co  0.000  0.000  0.500
Co  0.000  0.500  0.000
Co  0.375  0.375  0.375
Co  0.500  0.000  0.000
Co  0.625  0.625  0.625

Values from the calculation:
relative energy among the computed polymorphs = 4.60 kcal/mol of atoms
E_tot = -6.909 eV per atom

=====

Record 3
Entry from the Materials Project database: a relaxed Co crystal (PBE-GGA).

Unit cell a=2.494 b=2.494 c=8.086 alpha=90.00 beta=90.00 gamma=120.00
Fractional positions:
Co  0.000  0.000  0.000
Co  0.000  0.000  0.500
Co  0.333  0.667  0.250
Co  0.667  0.333  0.750

Values from the calculation:
relative energy among the computed polymorphs = 0.13 kcal/mol of atoms
E_tot = -7.103 eV per atom

=====

Record 4
Entry from the Materials Project database: a relaxed Co crystal (PBE-GGA).

Unit cell a=2.429 b=2.429 c=2.429 alpha=109.47 beta=109.47 gamma=109.47
Fractional positions:
Co  0.000  0.000  0.000

Values from the calculation:
relative energy among the computed polymorphs = 2.07 kcal/mol of atoms
E_tot = -7.019 eV per atom

=====

Record 5
Entry from the Materials Project database: a relaxed Co crystal (PBE-GGA).

Unit cell a=2.501 b=2.501 c=4.033 alpha=90.00 beta=90.00 gamma=120.00
Fractional positions:
Co  0.333  0.667  0.250
Co  0.667  0.333  0.750

Values from the calculation:
relative energy among the computed polymorphs = 0.00 kcal/mol of atoms
E_tot = -7.108 eV per atom

=====

Record 6
Entry from the Materials Project database: a relaxed CrCo3 crystal (PBE-GGA).

Unit cell a=4.995 b=4.995 c=3.980 alpha=90.00 beta=90.00 gamma=120.00
Fractional positions:
Cr  0.333  0.667  0.250
Cr  0.667  0.333  0.750
Co  0.166  0.331  0.750
Co  0.166  0.834  0.750
Co  0.331  0.166  0.250
Co  0.669  0.834  0.750
Co  0.834  0.166  0.250
Co  0.834  0.669  0.250

Values from the calculation:
relative energy among the computed polymorphs = 0.00 kcal/mol of atoms
E_tot = -7.720 eV per atom

=====

E_tot of number 5 (Co)? -7.108 eV per atom

=====

Copy entry 3 word for word.
Entry from the Materials Project database: a relaxed Co crystal (PBE-GGA).

Unit cell a=2.494 b=2.494 c=8.086 alpha=90.00 beta=90.00 gamma=120.00
Fractional positions:
Co  0.000  0.000  0.000
Co  0.000  0.000  0.500
Co  0.333  0.667  0.250
Co  0.667  0.333  0.750

Values from the calculation:
relative energy among the computed polymorphs = 0.13 kcal/mol of atoms
E_tot = -7.103 eV per atom

=====

Which value of E_tot does entry 3 give? -7.103 eV per atom

=====

What is the relative energy among the computed polymorphs in the second record? 4.60 kcal/mol of atoms